# 1
Below is a relaxed structure of Zr4TaGe4, with properties calculated at the r2SCAN level.

symmetry	P4_1 (76)

Cell lengths 7.149, 7.149, 13.112 Å; angles 90.00, 90.00, 90.00 degrees
Fractional coordinates of all 36 atoms:
Zr1 0.998 0.837 0.528
Zr2 0.002 0.163 0.028
Zr3 0.837 0.002 0.278
Zr4 0.163 0.998 0.778
Zr5 0.656 0.503 0.972
Zr6 0.344 0.497 0.472
Zr7 0.503 0.344 0.722
Zr8 0.497 0.656 0.222
Zr9 0.656 0.002 0.878
Zr10 0.344 0.998 0.378
Zr11 0.002 0.344 0.628
Zr12 0.998 0.656 0.128
Zr13 0.832 0.671 0.749
Zr14 0.168 0.329 0.249
Zr15 0.671 0.168 0.499
Zr16 0.329 0.832 0.999
Ta1 0.507 0.842 0.622
Ta2 0.493 0.158 0.122
Ta3 0.842 0.493 0.372
Ta4 0.158 0.507 0.872
Ge1 0.701 0.540 0.564
Ge2 0.299 0.460 0.064
Ge3 0.540 0.299 0.314
Ge4 0.460 0.701 0.814
Ge5 0.963 0.800 0.933
Ge6 0.037 0.200 0.433
Ge7 0.800 0.037 0.683
Ge8 0.200 0.963 0.183
Ge9 0.640 0.791 0.423
Ge10 0.360 0.209 0.923
Ge11 0.791 0.360 0.173
Ge12 0.209 0.640 0.673
Ge13 0.697 0.868 0.080
Ge14 0.303 0.132 0.580
Ge15 0.868 0.303 0.830
Ge16 0.132 0.697 0.330


# 2
Below is a relaxed structure of SmFeO3, with properties calculated at the r2SCAN level.

symmetry	Pnma (62)

Cell lengths 5.388, 5.649, 7.716 Å; angles 90.00, 90.00, 90.00 degrees
Fractional coordinates of all 20 atoms:
Sm1 0.516 0.563 0.250
Sm2 0.984 0.063 0.250
Sm3 0.484 0.437 0.750
Sm4 0.016 0.937 0.750
Fe1 0.500 0.000 0.000
Fe2 0.000 0.500 0.500
Fe3 0.500 0.000 0.500
Fe4 0.000 0.500 0.000
O1 0.400 0.969 0.250
O2 0.100 0.469 0.250
O3 0.600 0.031 0.750
O4 0.900 0.531 0.750
O5 0.803 0.801 0.052
O6 0.697 0.301 0.448
O7 0.198 0.199 0.552
O8 0.302 0.699 0.948
O9 0.197 0.199 0.948
O10 0.303 0.699 0.552
O11 0.802 0.801 0.448
O12 0.698 0.301 0.052


# 3
Below is a relaxed structure of NaV2S4, with properties calculated at the r2SCAN level.

symmetry	Pm (6)

Cell lengths 3.503, 5.757, 7.106 Å; angles 76.56, 90.00, 90.00 degrees
Fractional coordinates of all 7 atoms:
Na1 0.500 0.653 0.505
V1 0.000 0.011 0.002
V2 0.500 0.487 0.013
S1 0.000 0.608 0.205
S2 0.000 0.396 0.804
S3 0.500 0.104 0.209
S4 0.500 0.891 0.813


# 4
Below is a relaxed structure of H2S, with properties calculated at the r2SCAN level.

offset from the most stable computed form	8	meV per atom
symmetry	P1 (1)

Cell lengths 5.462, 5.890, 5.735 Å; angles 88.65, 91.76, 92.08 degrees
Fractional coordinates of all 12 atoms:
H1 0.292 0.082 0.394
H2 0.426 0.224 0.114
H3 0.386 0.585 0.716
H4 0.639 0.054 0.761
H5 0.926 0.213 0.902
H6 0.904 0.918 0.213
H7 0.814 0.608 0.130
H8 0.077 0.711 0.602
S1 0.254 0.272 0.266
S2 0.234 0.743 0.786
S3 0.765 0.252 0.724
S4 0.726 0.764 0.269


Number 1: E_tot -22.520 eV/atom, formation enthalpy at 0 K -0.8441 eV per atom. Number 2: E_tot -15.157 eV/atom, formation enthalpy at 0 K -2.7442 eV per atom. Number 3: E_tot -10.310 eV/atom, formation enthalpy at 0 K -1.1840 eV per atom. Number 4: E_tot -5.144 eV/atom, formation enthalpy at 0 K -0.1627 eV per atom.